Crystalline MgV2NiTe2O10 at its relaxed geometry. Source: the Materials Project, functional GGA+U.

* energy above the most stable polymorph in this dataset: 24 meV/atom
* ΔH_f (0 K): -30.5 eV per formula unit
* total energy: -6.188 eV/atom
* magnetic moment: 4.0 μB/f.u.

Cell: 5.147 6.571 6.466 Å, 88.45 66.06 78.27°
Atoms (fractional coordinates):
O: 0.737 0.897 0.587
O: 0.988 0.466 0.703
O: 0.392 0.691 0.443
O: 0.285 0.128 0.946
O: 0.014 0.531 0.306
O: 0.624 0.369 0.136
O: 0.253 0.102 0.432
O: 0.592 0.321 0.583
O: 0.710 0.850 0.042
O: 0.353 0.671 0.854
Te: 0.300 0.871 0.216
Te: 0.692 0.129 0.790
V: 0.705 0.589 0.598
V: 0.334 0.394 0.400
Ni: 0.978 0.538 0.005
Mg: 0.294 0.933 0.690